[1]
# DyZr4O9 | Materials Project | GGA-PBE | optimized geometry
data_DyZr4O9
_cell_length_a 9.8683
_cell_length_b 9.8683
_cell_length_c 9.8683
_cell_angle_alpha 159.23
_cell_angle_beta 37.38
_cell_angle_gamma 149.27
_symmetry_space_group_name_H-M 'P 1'
_symmetry_Int_Tables_number 1
_symmetry_space_group_name_Hall 'P 1'
loop_
_atom_site_label
_atom_site_fract_x
_atom_site_fract_y
_atom_site_fract_z
_atom_site_occupancy
Dy1 0.0000 0.0000 0.0000 1
Zr1 0.1659 0.9687 0.1972 1
Zr2 0.3575 0.9653 0.3922 1
Zr3 0.5730 0.9653 0.6078 1
Zr4 0.7715 0.9687 0.8028 1
O1 0.0186 0.7213 0.2973 1
O2 0.1108 0.2167 0.8941 1
O3 0.3226 0.2167 0.1059 1
O4 0.3579 0.8579 0.5000 1
O5 0.4240 0.7213 0.7027 1
O6 0.5205 0.2205 0.3000 1
O7 0.6250 0.7190 0.9059 1
O8 0.8131 0.7190 0.0941 1
O9 0.9205 0.2205 0.7000 1
# * energy: -128.70 eV per cell
# * total moment: 0.00 μB/cell

***

[2]
# Er2GaCo2 | Materials Project | GGA-PBE | optimized geometry
data_Er2GaCo2
_cell_length_a 5.3459
_cell_length_b 5.3459
_cell_length_c 5.3459
_cell_angle_alpha 135.80
_cell_angle_beta 118.86
_cell_angle_gamma 78.49
_symmetry_space_group_name_H-M 'P 1'
_symmetry_Int_Tables_number 1
_symmetry_space_group_name_Hall 'P 1'
loop_
_atom_site_label
_atom_site_fract_x
_atom_site_fract_y
_atom_site_fract_z
_atom_site_occupancy
Er1 0.2060 0.2060 0.0000 1
Er2 0.7940 0.7940 0.0000 1
Ga1 0.5000 0.0000 0.5000 1
Co1 0.2154 0.5000 0.7154 1
Co2 0.7846 0.5000 0.2846 1
# * energy: -28.58 eV per cell